Material: BeF2
Method: DFT, r2SCAN
State: optimized geometry

Results
Its polymorph energy (0 for the lowest one) is 19 meV per atom. Its crystal system is trigonal. The total moment comes out at 0.0 μB per cell. For the formation energy from the elements, the calculation gives -3467.1 meV per atom.

Cell and atoms, written as extended XYZ:
```
36
Lattice="6.5329 3.7718 4.7846 -6.5329 3.7718 4.7846 0.0000 -7.5435 4.7846" Properties=species:S:1:pos:R:3 pbc="T T T"
Be -1.4998 -4.9429 6.2672
Be -5.0306 1.1725 6.2672
Be -3.5308 -3.7703 8.0865
Be -5.0306 -1.1726 8.0865
Be 1.4998 -4.9429 6.2672
Be -3.5308 3.7703 6.2672
Be 3.5308 -3.7703 8.0865
Be -1.4998 4.9429 8.0865
Be 5.0306 1.1726 6.2673
Be 3.5308 3.7703 6.2673
Be 5.0306 -1.1726 8.0865
Be 1.4998 4.9429 8.0865
F -1.7297 -4.5475 4.7846
F -4.8031 0.7758 4.7846
F 0.0000 -2.2669 1.6962
F -1.9632 1.1335 1.6962
F -4.1895 -2.4188 7.7402
F -2.3066 -3.9951 7.1769
F -4.6131 0.0000 7.1769
F 0.0000 -4.8376 6.6136
F -4.1895 2.4188 6.6136
F 1.7297 -4.5475 4.7846
F -3.0734 3.7718 4.7846
F 1.9632 1.1335 1.6962
F 2.3066 -3.9951 7.1769
F -2.3066 3.9951 7.1769
F -1.9632 -1.1335 12.6576
F 4.8031 0.7758 4.7846
F 3.0734 3.7718 4.7846
F 4.1895 -2.4188 7.7402
F 0.0000 4.8376 7.7402
F 4.6131 0.0000 7.1769
F 2.3066 3.9951 7.1769
F 4.1895 2.4188 6.6136
F 1.9632 -1.1335 12.6576
F 0.0000 2.2669 12.6576
```

---

Material: BeF2
Method: DFT, r2SCAN
State: optimized geometry

Results
Its polymorph energy (0 for the lowest one) is 0 meV per atom. Its crystal system is trigonal. The total moment comes out at 0.0 μB per cell. For the formation energy from the elements, the calculation gives -3485.7 meV per atom.

Cell and atoms, written as extended XYZ:
```
9
Lattice="4.6673 0.0000 0.0000 -2.3336 4.0420 0.0000 0.0000 0.0000 5.1828" Properties=species:S:1:pos:R:3 pbc="T T T"
Be -1.0871 1.8829 0.8638
Be 2.1742 0.0000 4.3190
Be 1.2465 2.1590 2.5914
F -1.0617 2.9212 4.8946
F 0.3347 1.6619 1.4394
F 1.2719 1.1208 3.7434
F 0.7271 3.5008 3.1670
F 3.0607 0.5411 0.2882
F 2.6683 2.3801 2.0158
```

---

Material: BeF2
Method: DFT, r2SCAN
State: optimized geometry

Results
Its polymorph energy (0 for the lowest one) is 10 meV per atom. Its crystal system is hexagonal. The total moment comes out at 0.0 μB per cell. For the formation energy from the elements, the calculation gives -3476.0 meV per atom.

Cell and atoms, written as extended XYZ:
```
9
Lattice="4.8650 0.0000 0.0000 -2.4325 4.2132 0.0000 0.0000 0.0000 5.3323" Properties=species:S:1:pos:R:3 pbc="T T T"
Be -1.2163 2.1066 0.8887
Be 2.4325 0.0000 2.6662
Be 1.2163 2.1066 4.4436
F 0.0000 1.7643 0.0000
F -0.9046 3.3311 1.7774
F 1.5279 0.8821 3.5549
F 0.9046 3.3311 3.5549
F 3.3371 0.8821 1.7774
F 2.4325 2.4490 0.0000
```

---

Material: K2BeF4
Method: DFT, r2SCAN
State: optimized geometry

Results
Its crystal system is orthorhombic. The total moment comes out at 0.0 μB per cell. For the formation energy from the elements, the calculation gives -3304.7 meV per atom.

Cell and atoms, written as extended XYZ:
```
28
Lattice="7.2584 0.0000 0.0000 0.0000 5.6201 0.0000 0.0000 0.0000 9.7994" Properties=species:S:1:pos:R:3 pbc="T T T"
K 0.0833 1.4050 1.8706
K 1.1344 4.2151 4.0141
K 2.4948 1.4050 8.9138
K 3.5459 4.2151 6.7703
K 3.7125 1.4050 3.0291
K 4.7636 4.2151 0.8856
K 6.1240 1.4050 5.7853
K 7.1751 4.2151 7.9288
Be 1.6885 4.2151 0.8018
Be 1.9407 1.4050 5.7015
Be 5.3177 4.2151 4.0979
Be 5.5699 1.4050 8.9975
F 0.1442 4.2151 0.8210
F 1.3642 1.4050 4.2477
F 1.3975 0.1409 6.4170
F 1.3975 2.6692 6.4170
F 2.2317 2.9509 1.5173
F 2.2317 5.4792 1.5173
F 2.2650 4.2151 9.1474
F 3.4850 1.4050 5.7207
F 3.7734 4.2151 4.0787
F 4.9934 1.4050 0.6519
F 5.0267 0.1409 8.2820
F 5.0267 2.6692 8.2820
F 5.8609 2.9509 3.3823
F 5.8609 5.4792 3.3823
F 5.8942 4.2151 5.5516
F 7.1142 1.4050 8.9783
```

---

Material: KBeF3
Method: DFT, r2SCAN
State: optimized geometry

Results
Its crystal system is orthorhombic. The total moment comes out at 0.0 μB per cell. For the formation energy from the elements, the calculation gives -3363.6 meV per atom.

Cell and atoms, written as extended XYZ:
```
20
Lattice="4.4536 0.0000 0.0000 0.0000 5.4162 0.0000 0.0000 0.0000 11.9871" Properties=species:S:1:pos:R:3 pbc="T T T"
K 0.9866 0.9912 4.3111
K 1.2402 4.4250 10.3046
K 3.2134 1.7169 7.6761
K 3.4670 3.6993 1.6825
Be 0.7005 4.3316 6.8388
Be 1.5263 1.0845 0.8452
Be 2.9273 3.7926 5.1483
Be 3.7531 1.6235 11.1419
F 0.8648 1.5457 11.4548
F 1.0245 3.3513 7.9476
F 1.0328 0.3757 7.0840
F 1.1940 5.0405 1.0904
F 1.2023 2.0649 1.9540
F 1.3619 3.8704 5.4612
F 3.0916 1.1623 0.5324
F 3.2513 4.7729 4.0395
F 3.2596 2.3324 4.9032
F 3.4208 3.0838 10.8967
F 3.4291 0.6432 10.0331
F 3.5887 4.2538 6.5259
```

---

Material: KLiBeF4
Method: DFT, r2SCAN
State: optimized geometry

Results
Its crystal system is hexagonal. The total moment comes out at 0.0 μB per cell. For the formation energy from the elements, the calculation gives -3326.4 meV per atom.

Cell and atoms, written as extended XYZ:
```
14
Lattice="5.0148 0.0000 0.0000 -2.5074 4.3429 0.0000 0.0000 0.0000 8.5705" Properties=species:S:1:pos:R:3 pbc="T T T"
K 0.0000 0.0000 0.0000
K 0.0000 0.0000 4.2853
Li 0.0000 2.8953 2.6108
Li 2.5074 1.4476 6.8961
Be 0.0000 2.8953 5.9791
Be 2.5074 1.4476 1.6938
F -0.7411 1.6217 6.4589
F 0.0000 2.8953 4.4265
F -0.7324 4.1739 6.4589
F 1.0339 1.4527 2.1737
F 1.4735 2.8902 6.4589
F 3.2398 0.1690 2.1737
F 2.5074 1.4476 0.1413
F 3.2485 2.7212 2.1737
```

---

Material: Li2BeF4
Method: DFT, r2SCAN
State: optimized geometry

Results
Its crystal system is trigonal. The total moment comes out at 0.0 μB per cell. For the formation energy from the elements, the calculation gives -3336.6 meV per atom.

Cell and atoms, written as extended XYZ:
```
42
Lattice="6.6127 3.8178 2.9456 -6.6127 3.8178 2.9456 0.0000 -7.6356 2.9456" Properties=species:S:1:pos:R:3 pbc="T T T"
Li -1.1587 -5.2487 3.6978
Li -5.1249 -1.6209 5.1390
Li -1.5455 -2.2213 3.7000
Li -3.9661 3.6278 3.6978
Li -2.6964 0.2278 5.1369
Li -1.1509 2.4491 3.7000
Li 1.1509 -2.4491 5.1369
Li 2.6964 -0.2278 3.7000
Li 3.9661 -3.6278 5.1390
Li 1.5455 2.2213 5.1369
Li 5.1249 1.6209 3.6978
Li 1.1587 5.2487 5.1390
Be -2.7008 0.1732 2.2011
Be 1.2004 -2.4256 2.2011
Be 1.5004 2.2524 2.2011
Be -1.5004 -2.2524 6.6357
Be -1.2004 2.4256 6.6357
Be 2.7008 -0.1732 6.6357
F -4.4107 -4.6946 4.9812
F -6.2710 1.4724 3.8557
F -2.1213 -1.2752 2.2256
F -2.3641 -3.8745 3.6982
F -4.5375 0.1102 5.1387
F -2.2263 0.9401 3.4779
F 1.8603 -6.1670 3.8557
F 0.2990 -2.3981 3.4779
F -0.0437 2.4746 2.2256
F 2.1650 -1.1995 2.2256
F -1.9273 -1.4579 5.3590
F -2.1733 3.9847 3.6982
F 2.1733 -3.9847 5.1387
F 1.9273 1.4579 3.4779
F -2.1649 1.1995 6.6113
F 0.0437 -2.4746 6.6113
F -0.2989 2.3981 5.3590
F -1.8603 6.1670 4.9812
F 2.2263 -0.9401 5.3590
F 4.5375 -0.1102 3.6982
F 2.3641 3.8745 5.1387
F 2.1212 1.2752 6.6113
F 6.2710 -1.4725 4.9812
F 4.4107 4.6946 3.8557
```

---

Material: BePbF4
Method: DFT, r2SCAN
State: optimized geometry

Results
Its crystal system is orthorhombic. The total moment comes out at 0.0 μB per cell. For the formation energy from the elements, the calculation gives -2997.8 meV per atom.

Cell and atoms, written as extended XYZ:
```
24
Lattice="8.9669 0.0000 0.0000 0.0000 5.3028 0.0000 0.0000 0.0000 7.2310" Properties=species:S:1:pos:R:3 pbc="T T T"
Be 0.6688 1.3257 1.7745
Be 3.8147 3.9771 5.3900
Be 5.1522 1.3257 1.8410
Be 8.2982 3.9771 5.4565
Pb 2.0539 1.3257 5.4280
Pb 2.4295 3.9771 1.8125
Pb 6.5374 1.3257 5.4185
Pb 6.9130 3.9771 1.8030
F 0.1580 2.6856 5.5291
F 0.1580 5.2686 5.5291
F 1.5519 1.3257 3.0604
F 1.7329 1.3257 0.6243
F 2.7505 3.9771 4.2398
F 2.9316 3.9771 6.6759
F 4.3255 0.0342 1.9136
F 4.3255 2.6172 1.9136
F 4.6415 2.6856 5.3174
F 4.6415 5.2686 5.3174
F 6.0354 1.3257 0.5552
F 6.2164 1.3257 2.9912
F 7.2340 3.9771 6.6067
F 7.4150 3.9771 4.1707
F 8.8089 0.0342 1.7019
F 8.8089 2.6172 1.7019
```

---

Material: RbBe2F5
Method: DFT, r2SCAN
State: optimized geometry

Results
Its polymorph energy (0 for the lowest one) is 3 meV per atom. Its crystal system is triclinic. The total moment comes out at 0.0 μB per cell. For the formation energy from the elements, the calculation gives -3411.6 meV per atom.

Cell and atoms, written as extended XYZ:
```
8
Lattice="4.6024 0.0000 0.0000 -2.2597 4.0355 0.0000 -0.1320 -0.2914 6.1195" Properties=species:S:1:pos:R:3 pbc="T T T"
Rb 0.0000 0.0000 0.0000
Be -0.2081 2.6689 2.4897
Be 2.0368 1.2504 3.6178
F 1.3895 0.0012 2.9120
F 0.0966 2.6501 1.0228
F 1.0682 2.4724 3.3811
F 2.2324 1.0358 5.0864
F 3.3725 1.5379 2.8548
```

---

Material: RbBe2F5
Method: DFT, r2SCAN
State: optimized geometry

Results
Its polymorph energy (0 for the lowest one) is 0 meV per atom. Its crystal system is triclinic. The total moment comes out at 0.0 μB per cell. For the formation energy from the elements, the calculation gives -3414.1 meV per atom.

Cell and atoms, written as extended XYZ:
```
8
Lattice="4.5215 0.0000 0.0000 -2.2412 4.0659 0.0000 -0.0006 -0.4454 6.1040" Properties=species:S:1:pos:R:3 pbc="T T T"
Rb 0.0000 0.0000 0.0000
Be -0.3082 2.5537 2.4963
Be 1.9364 1.1024 3.6034
F 1.2442 -0.1924 3.0256
F 0.1027 2.6671 1.0627
F 0.8906 2.2683 3.4656
F 2.3338 0.9439 5.0373
F 3.1508 1.4064 2.6580
```

---

Material: BeTl2F4
Method: DFT, r2SCAN
State: optimized geometry

Results
Its crystal system is orthorhombic. The total moment comes out at 0.0 μB per cell. For the formation energy from the elements, the calculation gives -2624.0 meV per atom.

Cell and atoms, written as extended XYZ:
```
28
Lattice="7.6332 0.0000 0.0000 0.0000 5.7601 0.0000 0.0000 0.0000 10.4095" Properties=species:S:1:pos:R:3 pbc="T T T"
Be 1.7636 1.4400 0.8083
Be 2.0530 4.3201 6.0131
Be 5.5802 1.4400 4.3964
Be 5.8696 4.3201 9.6012
Tl 0.0820 4.3201 2.0458
Tl 1.2779 1.4400 4.3081
Tl 2.5387 4.3201 9.5128
Tl 3.7346 1.4400 7.2505
Tl 3.8986 4.3201 3.1590
Tl 5.0944 1.4400 0.8967
Tl 6.3553 4.3201 6.1014
Tl 7.5512 1.4400 8.3638
F 0.2143 1.4400 0.8647
F 1.4801 3.0416 6.6923
F 1.4801 5.5986 6.6923
F 1.5315 4.3201 4.5313
F 2.2851 1.4400 9.7361
F 2.3365 0.1615 1.4875
F 2.3365 2.7185 1.4875
F 3.6023 4.3201 6.0695
F 4.0309 1.4400 4.3400
F 5.2967 3.0416 8.9220
F 5.2967 5.5986 8.9220
F 5.3481 4.3201 0.6734
F 6.1017 1.4400 5.8782
F 6.1531 0.1615 3.7172
F 6.1531 2.7185 3.7172
F 7.4189 4.3201 9.5448
```

---

Material: Be12Fe
Method: DFT, r2SCAN
State: optimized geometry

Results
Its crystal system is tetragonal. The total moment comes out at 1.6 μB per cell. For the formation energy from the elements, the calculation gives -1.9 meV per atom.

Cell and atoms, written as extended XYZ:
```
13
Lattice="-3.5849 3.5849 2.0621 3.5849 -3.5849 2.0621 3.5849 3.5849 -2.0621" Properties=species:S:1:pos:R:3 pbc="T T T"
Be 1.7925 1.7925 -1.0310
Be 1.5310 0.0000 0.0000
Be 1.7925 -1.7925 1.0310
Be 5.6389 0.0000 0.0000
Be 3.5849 1.0993 0.0000
Be 0.0000 1.5310 0.0000
Be -1.7925 1.7925 1.0310
Be 1.0993 3.5849 0.0000
Be 1.7925 1.7925 1.0310
Be 2.4856 0.0000 2.0621
Be 0.0000 5.6389 0.0000
Be 0.0000 2.4856 2.0621
Fe 0.0000 0.0000 2.0621
```

---

Material: Be3Fe
Method: DFT, r2SCAN
State: optimized geometry

Results
Its crystal system is cubic. The total moment comes out at 1.7 μB per cell. For the formation energy from the elements, the calculation gives -160.5 meV per atom.

Cell and atoms, written as extended XYZ:
```
4
Lattice="3.2390 0.0000 0.0000 0.0000 3.2390 0.0000 0.0000 0.0000 3.2390" Properties=species:S:1:pos:R:3 pbc="T T T"
Be 0.0000 0.0000 1.6195
Be 0.0000 1.6195 0.0000
Be 1.6195 0.0000 0.0000
Fe 1.6195 1.6195 1.6195
```

---

Material: Be5Fe
Method: DFT, r2SCAN
State: optimized geometry

Results
Its crystal system is cubic. The total moment comes out at 1.8 μB per cell. For the formation energy from the elements, the calculation gives -27.9 meV per atom.

Cell and atoms, written as extended XYZ:
```
6
Lattice="0.0000 2.9193 2.9193 2.9193 0.0000 2.9193 2.9193 2.9193 0.0000" Properties=species:S:1:pos:R:3 pbc="T T T"
Be 0.0000 0.0000 0.0000
Be 2.1939 2.1939 2.1939
Be 3.6447 3.6447 2.1939
Be 3.6447 2.1939 3.6447
Be 2.1939 3.6447 3.6447
Fe 4.3790 4.3790 4.3790
```

---

Material: GdBe13
Method: DFT, r2SCAN
State: optimized geometry

Results
Its crystal system is cubic. The total moment comes out at 14.6 μB per cell. For the formation energy from the elements, the calculation gives -187.1 meV per atom.

Cell and atoms, written as extended XYZ:
```
28
Lattice="0.0000 5.1170 5.1170 5.1170 0.0000 5.1170 5.1170 5.1170 0.0000" Properties=species:S:1:pos:R:3 pbc="T T T"
Gd 2.5585 2.5585 2.5585
Gd 7.6755 7.6755 7.6755
Be 0.0000 0.0000 0.0000
Be 5.1170 3.9557 1.8016
Be 8.4324 5.1170 3.9557
Be 6.2783 1.8016 5.1170
Be 6.2783 5.1170 3.3154
Be 5.1170 3.3154 3.9557
Be 6.9186 3.9557 5.1170
Be 5.1170 6.2783 1.8016
Be 3.9557 1.8016 5.1170
Be 8.4324 5.1170 6.2783
Be 3.9557 5.1170 3.3154
Be 6.9186 6.2783 5.1170
Be 5.1170 3.3154 6.2783
Be 5.1170 5.1170 5.1170
Be 5.1170 6.9186 3.9557
Be 3.3154 3.9557 5.1170
Be 6.2783 5.1170 6.9186
Be 1.8016 5.1170 3.9557
Be 6.2783 8.4324 5.1170
Be 5.1170 3.9557 8.4324
Be 3.3154 6.2783 5.1170
Be 5.1170 6.9186 6.2783
Be 3.9557 5.1170 6.9186
Be 3.9557 8.4324 5.1170
Be 1.8016 5.1170 6.2783
Be 5.1170 6.2783 8.4324
```